TmAl3 | the Materials Project | PBE | relaxed; SG = Pm-3m; formation energy = -414 meV/atom; raw total energy = -4.342 eV/atom
1.0
4.223 0.000 0.000
0.000 4.223 0.000
0.000 0.000 4.223
Tm Al
1 3
direct
0.000 0.000 0.000
0.000 0.500 0.500
0.500 0.000 0.500
0.500 0.500 0.000